First-principles (GGA-PBE) data for an optimized crystal structure of BaCuGe, as listed in the Materials Project database.

The structure belongs to space group P-6m2 (No. 187); the cell edges are 4.2713, 4.2713 and 5.0138 Å and the angles 90.00°, 90.00° and 120.00°. The asymmetric unit holds Ba at (0.0000, 0.0000, 0.0000), Cu at (0.3333, 0.6667, 0.5000) and Ge at (0.6667, 0.3333, 0.5000).

The formation energy comes out at -350.9 meV/atom.

First-principles (GGA-PBE) data for an optimized crystal structure of Ti3N2O3, as listed in the Materials Project database.

The structure belongs to space group Cmcm (No. 63); the cell edges are 3.846, 9.826 and 9.918 Å and the angles 90.00°, 90.00° and 90.00°. The asymmetric unit holds Ti at (0.000, 0.144, 0.052), Ti at (0.000, 0.201, 0.750), N at (0.000, 0.308, 0.577), O at (0.000, 0.045, 0.619) and O at (0.000, 0.246, 0.250).

The formation energy comes out at -2582.8 meV/atom.

The evaluated E_tot for the records listed, in turn: -3.90 -9.23 eV/atom.